First-principles (PBE) data for a relaxed structure of MgAl2O4, as listed in the Materials Project database.

The crystal system is trigonal. The formation energy comes out at -3366 meV per atom. For the total energy, the calculation gives -1192.8 eV per cell.

```
data_MgAl2O4
_symmetry_space_group_name_H-M 'R 3 m'
_symmetry_Int_Tables_number 160
_symmetry_space_group_name_Hall 'R 3 -2"'
_cell_length_a 5.7739
_cell_length_b 5.7739
_cell_length_c 56.6516
_cell_angle_alpha 90.00
_cell_angle_beta 90.00
_cell_angle_gamma 120.00
loop_
_atom_site_label
_atom_site_fract_x
_atom_site_fract_y
_atom_site_fract_z
_atom_site_occupancy
Mg1 0.0000 0.0000 0.0000 1
Mg2 0.0000 0.0000 0.0608 1
Mg3 0.0000 0.0000 0.2490 1
Mg4 0.0000 0.0000 0.4988 1
Mg5 0.0000 0.0000 0.5618 1
Mg6 0.0000 0.0000 0.6560 1
Mg7 0.0000 0.0000 0.7495 1
Mg8 0.0000 0.0000 0.8114 1
Al1 0.0000 0.0000 0.1551 1
Al2 0.0000 0.0000 0.3109 1
Al3 0.0000 0.0000 0.4054 1
Al4 0.0000 0.0000 0.9048 1
Al5 0.9999 0.4999 0.7802 1
Al6 0.1670 0.3341 0.8635 1
Al7 0.1691 0.3381 0.6134 1
Al8 0.1694 0.3388 0.3640 1
O1 0.0000 0.0000 0.0959 1
O2 0.0000 0.0000 0.2144 1
O3 0.0000 0.0000 0.3431 1
O4 0.0000 0.0000 0.4644 1
O5 0.0000 0.0000 0.5972 1
O6 0.0000 0.0000 0.7152 1
O7 0.0000 0.0000 0.8463 1
O8 0.0000 0.0000 0.9646 1
O9 0.0260 0.5130 0.3458 1
O10 0.0362 0.5181 0.8440 1
O11 0.0366 0.5183 0.0940 1
O12 0.0382 0.5191 0.5936 1
O13 0.1701 0.3403 0.2991 1
O14 0.1845 0.3689 0.5500 1
O15 0.1849 0.3698 0.8000 1
O16 0.1874 0.3748 0.0497 1
```

***

First-principles (PBE) data for a relaxed structure of PdAu2N4Cl8, as listed in the Materials Project database.

The crystal system is triclinic. The formation energy comes out at 995 meV per atom. For the total energy, the calculation gives -40.0 eV per cell.

```
data_PdAu2N4Cl8
_symmetry_space_group_name_H-M 'P -1'
_symmetry_Int_Tables_number 2
_symmetry_space_group_name_Hall '-P 1'
_cell_length_a 7.700
_cell_length_b 7.926
_cell_length_c 8.333
_cell_angle_alpha 111.78
_cell_angle_beta 104.10
_cell_angle_gamma 107.62
loop_
_atom_site_label
_atom_site_fract_x
_atom_site_fract_y
_atom_site_fract_z
_atom_site_occupancy
Pd1 0.000 0.000 0.000 1
Au1 0.251 0.734 0.705 1
N1 0.188 0.203 0.718 1
N2 0.228 0.168 0.039 1
Cl1 0.039 0.853 0.631 1
Cl2 0.181 0.805 0.966 1
Cl3 0.331 0.657 0.460 1
Cl4 0.455 0.611 0.790 1
```

***

First-principles (PBE) data for a relaxed structure of Hg3TeCl4, as listed in the Materials Project database.

The crystal system is orthorhombic. The formation energy comes out at -841 meV per atom. For the total energy, the calculation gives -125.8 eV per cell.

```
data_Hg3TeCl4
_symmetry_space_group_name_H-M 'P b c a'
_symmetry_Int_Tables_number 61
_symmetry_space_group_name_Hall '-P 2ac 2ab'
_cell_length_a 12.093
_cell_length_b 12.774
_cell_length_c 13.104
_cell_angle_alpha 90.00
_cell_angle_beta 90.00
_cell_angle_gamma 90.00
loop_
_atom_site_label
_atom_site_fract_x
_atom_site_fract_y
_atom_site_fract_z
_atom_site_occupancy
Hg1 0.095 0.091 0.183 1
Hg2 0.190 0.685 0.772 1
Hg3 0.219 0.081 0.485 1
Te1 0.098 0.603 0.601 1
Cl1 0.045 0.080 0.396 1
Cl2 0.082 0.218 0.679 1
Cl3 0.177 0.605 0.281 1
Cl4 0.247 0.158 0.948 1
```

***

First-principles (PBE) data for a relaxed structure of TmH2ClO2, as listed in the Materials Project database.

The crystal system is monoclinic. The formation energy comes out at -2334 meV per atom. For the total energy, the calculation gives -71.3 eV per cell.

```
data_TmH2ClO2
_symmetry_space_group_name_H-M 'P 1 21/m 1'
_symmetry_Int_Tables_number 11
_symmetry_space_group_name_Hall '-P 2yb'
_cell_length_a 6.188
_cell_length_b 3.548
_cell_length_c 6.635
_cell_angle_alpha 90.00
_cell_angle_beta 105.38
_cell_angle_gamma 90.00
loop_
_atom_site_label
_atom_site_fract_x
_atom_site_fract_y
_atom_site_fract_z
_atom_site_occupancy
Tm1 0.218 0.250 0.391 1
H1 0.143 0.250 0.802 1
H2 0.373 0.750 0.731 1
Cl1 0.270 0.750 0.078 1
O1 0.047 0.250 0.659 1
O2 0.394 0.750 0.590 1
```

***

First-principles (PBE) data for a relaxed structure of Rb3CeF6, as listed in the Materials Project database.

The crystal system is cubic. The formation energy comes out at -3448 meV per atom. For the total energy, the calculation gives -208.3 eV per cell.

```
data_Rb3CeF6
_symmetry_space_group_name_H-M 'F m -3 m'
_symmetry_Int_Tables_number 225
_symmetry_space_group_name_Hall '-F 4 2 3'
_cell_length_a 9.938
_cell_length_b 9.938
_cell_length_c 9.938
_cell_angle_alpha 90.00
_cell_angle_beta 90.00
_cell_angle_gamma 90.00
loop_
_atom_site_label
_atom_site_fract_x
_atom_site_fract_y
_atom_site_fract_z
_atom_site_occupancy
Rb1 0.000 0.000 0.000 1
Rb2 0.250 0.250 0.250 1
Ce1 0.000 0.000 0.500 1
F1 0.000 0.000 0.270 1
```

***

First-principles (PBE) data for a relaxed structure of YSi2Ir2, as listed in the Materials Project database.

The crystal system is tetragonal. The formation energy comes out at -1093 meV per atom. For the total energy, the calculation gives -80.9 eV per cell.

```
data_YSi2Ir2
_symmetry_space_group_name_H-M 'I 4/m m m'
_symmetry_Int_Tables_number 139
_symmetry_space_group_name_Hall '-I 4 2'
_cell_length_a 4.086
_cell_length_b 4.086
_cell_length_c 9.992
_cell_angle_alpha 90.00
_cell_angle_beta 90.00
_cell_angle_gamma 90.00
loop_
_atom_site_label
_atom_site_fract_x
_atom_site_fract_y
_atom_site_fract_z
_atom_site_occupancy
Y1 0.000 0.000 0.000 1
Si1 0.000 0.000 0.379 1
Ir1 0.000 0.500 0.250 1
```

***

First-principles (PBE) data for a relaxed structure of Si13Rh20, as listed in the Materials Project database.

The crystal system is trigonal. The formation energy comes out at -746 meV per atom. For the total energy, the calculation gives -242.4 eV per cell.

```
data_Si13Rh20
_symmetry_space_group_name_H-M 'P -3'
_symmetry_Int_Tables_number 147
_symmetry_space_group_name_Hall '-P 3'
_cell_length_a 11.9986
_cell_length_b 11.9986
_cell_length_c 3.6340
_cell_angle_alpha 90.00
_cell_angle_beta 90.00
_cell_angle_gamma 120.00
loop_
_atom_site_label
_atom_site_fract_x
_atom_site_fract_y
_atom_site_fract_z
_atom_site_occupancy
Si1 0.0000 0.0000 0.0000 1
Si2 0.1074 0.7691 0.2477 1
Si3 0.1656 0.5497 0.2501 1
Rh1 0.0040 0.8160 0.7531 1
Rh2 0.0711 0.6097 0.7491 1
Rh3 0.1287 0.3999 0.7476 1
Rh4 0.3333 0.6667 0.7512 1
```

***

First-principles (PBE) data for a relaxed structure of SrZrO3, as listed in the Materials Project database.

The crystal system is cubic. The formation energy comes out at -3607 meV per atom. For the total energy, the calculation gives -41.1 eV per cell.

```
data_SrZrO3
_symmetry_space_group_name_H-M 'P m -3 m'
_symmetry_Int_Tables_number 221
_symmetry_space_group_name_Hall '-P 4 2 3'
_cell_length_a 4.198
_cell_length_b 4.198
_cell_length_c 4.198
_cell_angle_alpha 90.00
_cell_angle_beta 90.00
_cell_angle_gamma 90.00
loop_
_atom_site_label
_atom_site_fract_x
_atom_site_fract_y
_atom_site_fract_z
_atom_site_occupancy
Sr1 0.000 0.000 0.000 1
Zr1 0.500 0.500 0.500 1
O1 0.000 0.500 0.500 1
```